Compound: Ca2Mg2B4O13
Source: the Materials Project
Functional: PBE
Structure: optimized geometry

Computed properties:
**Total energy**: -561.245 eV per cell
**Total moment**: 24.0 μB/cell
**ΔH_f (0 K)**: -2.43 eV/atom

Lattice parameters (Å, degrees): 8.563 8.626 13.257 90.00 90.00 90.00
Fractional coordinates of all 84 atoms:
Ca 0.255 0.268 0.362
Ca 0.745 0.732 0.638
Ca 0.255 0.732 0.638
Ca 0.745 0.232 0.862
Ca 0.745 0.268 0.362
Ca 0.255 0.768 0.138
Ca 0.745 0.768 0.138
Ca 0.255 0.232 0.862
Mg 0.000 0.033 0.238
Mg 0.000 0.967 0.762
Mg 0.000 0.467 0.738
Mg 0.000 0.533 0.262
Mg 0.000 0.000 0.500
Mg 0.000 0.500 0.000
Mg 0.000 0.000 0.000
Mg 0.000 0.500 0.500
B 0.500 0.282 0.206
B 0.500 0.718 0.794
B 0.500 0.218 0.706
B 0.500 0.782 0.294
B 0.500 0.263 0.020
B 0.500 0.737 0.980
B 0.500 0.237 0.520
B 0.500 0.763 0.480
B 0.287 0.130 0.118
B 0.713 0.870 0.882
B 0.287 0.870 0.882
B 0.713 0.370 0.618
B 0.713 0.130 0.118
B 0.287 0.630 0.382
B 0.713 0.630 0.382
B 0.287 0.370 0.618
O 0.159 0.035 0.120
O 0.841 0.965 0.880
O 0.159 0.965 0.880
O 0.841 0.465 0.620
O 0.841 0.035 0.120
O 0.159 0.535 0.380
O 0.841 0.535 0.380
O 0.159 0.465 0.620
O 0.500 0.164 0.422
O 0.500 0.836 0.578
O 0.500 0.336 0.922
O 0.500 0.664 0.078
O 0.353 0.186 0.206
O 0.647 0.814 0.794
O 0.353 0.814 0.794
O 0.647 0.314 0.706
O 0.647 0.186 0.206
O 0.353 0.686 0.294
O 0.647 0.686 0.294
O 0.353 0.314 0.706
O 0.500 0.374 0.297
O 0.500 0.626 0.703
O 0.500 0.126 0.797
O 0.500 0.874 0.203
O 0.130 0.018 0.373
O 0.870 0.982 0.627
O 0.130 0.982 0.627
O 0.870 0.482 0.873
O 0.870 0.018 0.373
O 0.130 0.518 0.127
O 0.870 0.518 0.127
O 0.130 0.482 0.873
O 0.500 0.368 0.109
O 0.500 0.632 0.891
O 0.500 0.132 0.609
O 0.500 0.868 0.391
O 0.354 0.169 0.026
O 0.646 0.831 0.974
O 0.354 0.831 0.974
O 0.646 0.331 0.526
O 0.646 0.169 0.026
O 0.354 0.669 0.474
O 0.646 0.669 0.474
O 0.354 0.331 0.526
O 0.000 0.234 0.455
O 0.000 0.766 0.545
O 0.000 0.266 0.955
O 0.000 0.734 0.045
O 0.000 0.280 0.270
O 0.000 0.720 0.730
O 0.000 0.220 0.770
O 0.000 0.780 0.230